[1]
Material: Sm3Ti3Se2O8
Method: DFT, PBE
State: optimized geometry

Summary:
- formation energy (eV per atom) = -3.30
- calculated density (g/cm³) = 6.01
- crystal system = monoclinic

a b c (Å): 3.9028 9.8744 13.5382
angles (deg): 68.75 90.00 90.00
Closest atoms and distances in Å follow each position.
Fractional coordinates of all 32 atoms:
Sm 0.2500 0.4175 0.9144  4 O 2.39-2.41
Sm 0.7500 0.5825 0.0856  4 O 2.39-2.41
Sm 0.7500 0.4087 0.4110  7 O 2.40-2.58
Sm 0.2500 0.5913 0.5890  7 O 2.40-2.58
Sm 0.2500 0.9522 0.1601  3 O 2.29-2.41
Sm 0.7500 0.0478 0.8399  3 O 2.29-2.41
Ti 0.2500 0.1910 0.6038  5 O 1.80-2.01
Ti 0.7500 0.6861 0.7696  5 O 1.82-2.03
Ti 0.2500 0.0449 0.4123  6 O 1.94-2.13
Ti 0.7500 0.9551 0.5877  6 O 1.94-2.13
Ti 0.7500 0.8090 0.3962  5 O 1.80-2.01
Ti 0.2500 0.3139 0.2304  5 O 1.82-2.03
Se 0.2500 0.6099 0.2535  5 Sm 3.04-3.15, 1 Ti 3.05, 6 O 3.22-3.36
Se 0.7500 0.3901 0.7465  5 Sm 3.04-3.15, 1 Ti 3.05, 6 O 3.22-3.36
Se 0.2500 0.8364 0.9840  5 Sm 2.99-3.08
Se 0.7500 0.1636 0.0160  5 Sm 2.99-3.08
O 0.2500 0.3902 0.5294  1 Ti 1.86
O 0.7500 0.6098 0.4706  1 Ti 1.86
O 0.7500 0.1779 0.5715  3 Ti 2.01-2.13
O 0.2500 0.8221 0.4285  3 Ti 2.01-2.13
O 0.2500 0.2503 0.3909  2 Ti 1.94-2.03
O 0.7500 0.7497 0.6091  2 Ti 1.94-2.03
O 0.2500 0.1212 0.2512  2 Ti 1.82-2.03
O 0.7500 0.8788 0.7488  2 Ti 1.82-2.03
O 0.2500 0.4411 0.0838  1 Ti 1.93
O 0.7500 0.5589 0.9162  1 Ti 1.93
O 0.2500 0.6414 0.7623  2 Ti 2.01
O 0.2500 0.0055 0.5742  4 Ti 2.01-2.08
O 0.2500 0.1209 0.7468  1 Ti 1.80
O 0.7500 0.8791 0.2532  1 Ti 1.80
O 0.7500 0.3586 0.2377  2 Ti 2.01
O 0.7500 0.9945 0.4258  4 Ti 2.01-2.08

***

[2]
Material: SnSe2O6
Method: DFT, PBE
State: optimized geometry

Summary:
- formation energy (eV per atom) = -1.51
- calculated density (g/cm³) = 4.24
- crystal system = cubic
- E above lowest polymorph (eV per formula unit) = 0.00

a b c (Å): 8.3583 8.3583 8.3583
angles (deg): 90.00 90.00 90.00
Closest atoms and distances in Å follow each position.
Fractional coordinates of all 36 atoms:
Sn 0.5000 0.5000 0.0000  6 O 2.08
Sn 0.5000 0.0000 0.5000  6 O 2.08
Sn 0.0000 0.0000 0.0000  6 O 2.08
Sn 0.0000 0.5000 0.5000  6 O 2.08
Se 0.8331 0.1669 0.6669  3 O 1.74
Se 0.1669 0.8331 0.3331  3 O 1.74
Se 0.6669 0.6669 0.6669  3 O 1.74
Se 0.1669 0.6669 0.8331  3 O 1.74
Se 0.3331 0.1669 0.8331  3 O 1.74
Se 0.8331 0.3331 0.1669  3 O 1.74
Se 0.6669 0.8331 0.1669  3 O 1.74
Se 0.3331 0.3331 0.3331  3 O 1.74
O 0.2448 0.4654 0.4670  1 Se 1.74
O 0.9670 0.2448 0.0346  1 Se 1.74
O 0.0330 0.7448 0.4654  1 Se 1.74
O 0.4670 0.2552 0.9654  1 Se 1.74
O 0.2552 0.9654 0.4670  1 Se 1.74
O 0.5346 0.5330 0.7552  1 Se 1.74
O 0.9654 0.0330 0.7552  1 Se 1.74
O 0.5330 0.7448 0.0346  1 Se 1.74
O 0.5346 0.9670 0.2552  1 Se 1.74
O 0.4654 0.0330 0.7448  1 Se 1.74
O 0.7552 0.9654 0.0330  1 Se 1.74
O 0.2552 0.5346 0.9670  1 Se 1.74
O 0.0346 0.5330 0.7448  1 Se 1.74
O 0.0346 0.9670 0.2448  1 Se 1.74
O 0.2448 0.0346 0.9670  1 Se 1.74
O 0.4654 0.4670 0.2448  1 Se 1.74
O 0.7552 0.5346 0.5330  1 Se 1.74
O 0.9654 0.4670 0.2552  1 Se 1.74
O 0.0330 0.7552 0.9654  1 Se 1.74
O 0.4670 0.2448 0.4654  1 Se 1.74
O 0.5330 0.7552 0.5346  1 Se 1.74
O 0.9670 0.2552 0.5346  1 Se 1.74
O 0.7448 0.0346 0.5330  1 Se 1.74
O 0.7448 0.4654 0.0330  1 Se 1.74

***

[3]
Material: SnSe2O6
Method: DFT, PBE
State: optimized geometry

Summary:
- formation energy (eV per atom) = -1.51
- calculated density (g/cm³) = 4.36
- crystal system = monoclinic
- E above lowest polymorph (eV per formula unit) = 0.04

a b c (Å): 8.7092 4.8950 7.1406
angles (deg): 68.65 90.00 90.00
Closest atoms and distances in Å follow each position.
Fractional coordinates of all 18 atoms:
Sn 0.5000 0.5000 0.5000  6 O 2.08-2.10
Sn 0.0000 0.5000 0.0000  6 O 2.08-2.10
Se 0.1484 0.8598 0.3146  3 O 1.73-1.74
Se 0.3516 0.8598 0.8146  3 O 1.73-1.74
Se 0.8516 0.1402 0.6854  3 O 1.73-1.74
Se 0.6484 0.1402 0.1854  3 O 1.73-1.74
O 0.0577 0.5854 0.2589  1 Se 1.73
O 0.6588 0.2247 0.6974  1 Se 1.74
O 0.8456 0.8479 0.9159  1 Se 1.74
O 0.3456 0.1521 0.5841  1 Se 1.74
O 0.9423 0.4146 0.7411  1 Se 1.73
O 0.4423 0.5854 0.7589  1 Se 1.73
O 0.1544 0.1521 0.0841  1 Se 1.74
O 0.1588 0.7753 0.8026  1 Se 1.74
O 0.8412 0.2247 0.1974  1 Se 1.74
O 0.5577 0.4146 0.2411  1 Se 1.73
O 0.3412 0.7753 0.3026  1 Se 1.74
O 0.6544 0.8479 0.4159  1 Se 1.74

***

[4]
Material: SrSeO4
Method: DFT, PBE
State: optimized geometry

Summary:
- formation energy (eV per atom) = -2.15
- calculated density (g/cm³) = 4.17
- crystal system = monoclinic

a b c (Å): 7.4810 6.9749 8.7825
angles (deg): 53.31 90.00 90.00
Closest atoms and distances in Å follow each position.
Fractional coordinates of all 24 atoms:
Sr 0.6559 0.8155 0.2816  8 O 2.60-2.78
Sr 0.1559 0.1845 0.2184  8 O 2.60-2.78
Sr 0.3441 0.1845 0.7184  8 O 2.60-2.78
Sr 0.8441 0.8155 0.7816  8 O 2.60-2.78
Se 0.6638 0.3066 0.3061  4 O 1.67-1.69
Se 0.1638 0.6934 0.1939  4 O 1.67-1.69
Se 0.3362 0.6934 0.6939  4 O 1.67-1.69
Se 0.8362 0.3066 0.8061  4 O 1.67-1.69
O 0.7142 0.5868 0.1242  1 Se 1.67
O 0.2142 0.4132 0.3758  1 Se 1.67
O 0.2858 0.4132 0.8758  1 Se 1.67
O 0.7858 0.5868 0.6242  1 Se 1.67
O 0.6063 0.3314 0.4780  1 Se 1.68
O 0.1063 0.6686 0.0220  1 Se 1.68
O 0.3937 0.6686 0.5220  1 Se 1.68
O 0.8937 0.3314 0.9780  1 Se 1.68
O 0.9949 0.1870 0.7523  1 Se 1.67
O 0.4949 0.8130 0.7477  1 Se 1.67
O 0.0051 0.8130 0.2477  1 Se 1.67
O 0.5051 0.1870 0.2523  1 Se 1.67
O 0.6629 0.1148 0.8865  1 Se 1.69
O 0.1629 0.8852 0.6135  1 Se 1.69
O 0.3371 0.8852 0.1135  1 Se 1.69
O 0.8371 0.1148 0.3865  1 Se 1.69

***

[5]
Material: Sr2TbSeO6
Method: DFT, PBE
State: optimized geometry

Summary:
- formation energy (eV per atom) = -2.65
- calculated density (g/cm³) = 5.94
- size of the total moment (μB per atom) = 0.033
- crystal system = cubic

a b c (Å): 5.8607 5.8607 5.8607
angles (deg): 60.00 60.00 60.00
Closest atoms and distances in Å follow each position.
Fractional coordinates of all 10 atoms:
Sr 0.2500 0.2500 0.2500  12 O 2.93
Sr 0.7500 0.7500 0.7500  12 O 2.93
Tb 0.5000 0.5000 0.5000  6 O 2.20
Se 0.0000 0.0000 0.0000  6 O 1.94
O 0.7660 0.2340 0.2340  1 Se 1.94
O 0.2340 0.7660 0.7660  1 Se 1.94
O 0.7660 0.2340 0.7660  1 Se 1.94
O 0.2340 0.7660 0.2340  1 Se 1.94
O 0.7660 0.7660 0.2340  1 Se 1.94
O 0.2340 0.2340 0.7660  1 Se 1.94

***

[6]
Material: SrUSe2O10
Method: DFT, PBE
State: optimized geometry

Summary:
- formation energy (eV per atom) = -1.80
- calculated density (g/cm³) = 4.16
- size of the total moment (μB per atom) = 0.071
- crystal system = triclinic

a b c (Å): 7.6537 8.3843 9.4696
angles (deg): 106.81 107.32 105.08
Closest atoms and distances in Å follow each position.
Fractional coordinates of all 28 atoms:
Sr 0.8211 0.7538 0.9725  5 O 2.41-2.68
Sr 0.1789 0.2462 0.0275  5 O 2.41-2.68
U 0.8203 0.3225 0.5556  2 O 1.82-1.86
U 0.1797 0.6775 0.4444  2 O 1.82-1.86
Se 0.7402 0.9246 0.6394  3 O 1.72-1.75
Se 0.2598 0.0754 0.3606  3 O 1.72-1.75
Se 0.3118 0.4216 0.7197  3 O 1.68-1.79
Se 0.6882 0.5784 0.2803  3 O 1.68-1.79
O 0.8009 0.5102 0.7054  1 U 1.86
O 0.1991 0.4898 0.2946  1 U 1.86
O 0.8498 0.1398 0.4177  1 U 1.82
O 0.1502 0.8602 0.5823  1 U 1.82
O 0.7117 0.1299 0.6648  1 Se 1.75
O 0.2883 0.8701 0.3352  1 Se 1.75
O 0.1267 0.3214 0.7722  1 Se 1.73
O 0.8733 0.6786 0.2278  1 Se 1.73
O 0.1605 0.5062 0.6028  1 Se 1.79
O 0.8395 0.4938 0.3972  1 Se 1.79
O 0.4700 0.6038 0.8872  1 Se 1.68
O 0.5300 0.3962 0.1128  1 Se 1.68
O 0.5096 0.7808 0.6050  1 Se 1.73
O 0.4904 0.2192 0.3950  1 Se 1.73
O 0.8740 0.9652 0.8361  1 Se 1.72
O 0.1260 0.0348 0.1639  1 Se 1.72
O 0.5684 0.9881 0.0435  1 O 1.23
O 0.4316 0.0119 0.9565  1 O 1.23
O 0.9204 0.4403 0.9842  1 O 1.25
O 0.0796 0.5597 0.0158  1 O 1.25

***

[7]
Material: SrU3Se2O18
Method: DFT, PBE
State: optimized geometry

Summary:
- formation energy (eV per atom) = -2.14
- calculated density (g/cm³) = 4.89
- size of the total moment (μB per atom) = 0.167
- crystal system = monoclinic

a b c (Å): 9.3553 9.3553 6.9470
angles (deg): 81.68 81.68 44.86
Closest atoms and distances in Å follow each position.
Fractional coordinates of all 24 atoms:
Sr 0.3343 0.6657 0.5000  6 O 2.61-2.76
U 0.3925 0.3937 0.0468  2 O 1.86
U 0.6063 0.6075 0.9532  2 O 1.86
U 0.0021 0.9979 0.0000  2 O 1.84
Se 0.2047 0.2073 0.8853  3 O 1.71-1.74
Se 0.7927 0.7953 0.1147  3 O 1.71-1.74
O 0.3174 0.6826 0.0000  3 U 2.24-2.25
O 0.6852 0.3148 0.0000  3 U 2.26, 2 O 2.53
O 0.0217 0.9775 0.2648  1 U 1.84
O 0.0225 0.9783 0.7352  1 U 1.84
O 0.3836 0.4079 0.7782  1 U 1.86
O 0.5921 0.6164 0.2218  1 U 1.86
O 0.3840 0.4087 0.3132  1 U 1.86
O 0.5913 0.6160 0.6868  1 U 1.86
O 0.9614 0.3098 0.9393  1 Se 1.73
O 0.3066 0.9642 0.9424  1 Se 1.74
O 0.0358 0.6934 0.0576  1 Se 1.74
O 0.6902 0.0386 0.0607  1 Se 1.73
O 0.2525 0.2571 0.0815  1 Se 1.71
O 0.7429 0.7475 0.9185  1 Se 1.71
O 0.9626 0.6506 0.5350  1 O 1.23
O 0.3494 0.0374 0.4650  1 O 1.23
O 0.4973 0.0011 0.5033  1 O 1.23
O 0.9989 0.5027 0.4967  1 O 1.23

***

[8]
Material: SrUSe2O8
Method: DFT, PBE
State: optimized geometry

Summary:
- formation energy (eV per atom) = -2.50
- calculated density (g/cm³) = 4.92
- size of the total moment (μB per atom) = 0.000
- crystal system = triclinic
- E above lowest polymorph (eV per formula unit) = 0.00

a b c (Å): 5.8123 6.8889 11.4731
angles (deg): 104.77 94.04 109.43
Closest atoms and distances in Å follow each position.
Fractional coordinates of all 24 atoms:
Sr 0.3319 0.7513 0.5625  7 O 2.47-2.75
Sr 0.6681 0.2487 0.4375  7 O 2.47-2.75
U 0.1689 0.2627 0.1632  2 O 1.81-1.84
U 0.8311 0.7373 0.8368  2 O 1.81-1.84
Se 0.6987 0.1911 0.8777  3 O 1.73-1.76
Se 0.7275 0.6918 0.3417  3 O 1.70-1.82
Se 0.3013 0.8089 0.1223  3 O 1.73-1.76
Se 0.2725 0.3082 0.6583  3 O 1.70-1.82
O 0.0932 0.8651 0.0297  1 Se 1.76
O 0.1194 0.5834 0.1577  1 Se 1.73
O 0.5628 0.6653 0.9110  1 U 1.81
O 0.4372 0.3347 0.0890  1 U 1.81
O 0.9198 0.6221 0.4268  1 Se 1.70
O 0.6815 0.9800 0.7527  1 Se 1.73
O 0.0957 0.8100 0.7570  1 U 1.84
O 0.6744 0.8940 0.4425  1 Se 1.70
O 0.9043 0.1900 0.2430  1 U 1.84
O 0.9068 0.1349 0.9703  1 Se 1.76
O 0.0802 0.3779 0.5732  1 Se 1.70
O 0.3185 0.0200 0.2473  1 Se 1.73
O 0.3256 0.1060 0.5575  1 Se 1.70
O 0.5597 0.5213 0.6586  1 Se 1.82
O 0.4403 0.4787 0.3414  1 Se 1.82
O 0.8806 0.4166 0.8423  1 Se 1.73